# AlBi3O9

AlBi3O9 after structural relaxation (PBE, Materials Project).

Values from the calculation:
E_tot = -69.45 eV/cell
Formation energy = -1206.3 meV/atom
Energy above the lowest structure with this stoichiometry = 4.845 eV/f.u.
M_tot = 0.462 μB/atom

Unit cell a=3.6003 b=3.6003 c=12.5226 alpha=90.00 beta=90.00 gamma=90.00
Last column: nearest neighbours and their distance in Å.
Space group P4/mmm (No. 123)
Unique sites:
Al: 0.0000 0.0000 0.0000  6 O 1.80-1.94
Bi: 0.5000 0.5000 0.2182  4 O 2.37
Bi: 0.5000 0.5000 0.5000  12 O 2.55-2.68
O: 0.0000 0.0000 0.1550  1 Al 1.94
O: 0.0000 0.0000 0.5000  4 Bi 2.55, 8 O 2.68
O: 0.0000 0.5000 0.0000  2 Al 1.80
O: 0.0000 0.5000 0.3413  2 Bi 2.37, 4 O 2.55

=====

# AlBi3Sb2O11

AlBi3Sb2O11 after structural relaxation (PBE, Materials Project).

Values from the calculation:
E_tot = -421.64 eV/cell
Formation energy = -2050.9 meV/atom
M_tot = 0.000 μB/atom

Unit cell a=9.4846 b=9.5622 c=13.4649 alpha=90.00 beta=134.73 gamma=90.00
Last column: nearest neighbours and their distance in Å.
Space group Pc (No. 7)
Unique sites:
Al: 0.0000 0.2478 0.0000  6 O 1.91-2.00
Al: 0.1821 0.2488 0.3362  6 O 1.92-2.03
Bi: 0.0868 0.1117 0.7167  3 O 2.23-2.31
Bi: 0.3240 0.3833 0.9631  3 O 2.22-2.32
Bi: 0.3266 0.0005 0.0781  8 O 2.39-2.65
Bi: 0.3482 0.3801 0.7130  3 O 2.25-2.27
Bi: 0.6123 0.1242 0.9674  3 O 2.23-2.34
Bi: 0.8633 0.4772 0.0961  5 O 2.27-2.46
Sb: 0.4853 0.2505 0.3357  6 O 1.98-2.06
Sb: 0.6839 0.2510 0.6847  6 O 1.99-2.06
Sb: 0.8460 0.0904 0.3422  6 O 1.98-2.04
Sb: 0.8483 0.4099 0.3430  6 O 1.98-2.05
O: 0.0018 0.4571 0.0020  1 Sb 1.98, 1 Al 2.00
O: 0.0071 0.0414 0.0020  1 Al 1.97, 1 Sb 1.98
O: 0.0528 0.4075 0.3358  1 Al 1.95, 1 Sb 2.01
O: 0.0615 0.0920 0.3454  1 Al 1.94, 1 Sb 2.01
O: 0.1359 0.3511 0.7365  4 Bi 2.22-2.46
O: 0.2834 0.2444 0.1246  1 Al 1.92, 1 Sb 2.02
O: 0.3323 0.1114 0.3387  1 Al 1.92, 1 Sb 1.99
O: 0.3334 0.3893 0.3388  1 Al 1.95, 1 Sb 1.98
O: 0.3416 0.1471 0.7371  4 Bi 2.25-2.48
O: 0.3447 0.1486 0.9445  4 Bi 2.23-2.39
O: 0.3890 0.2450 0.5486  1 Sb 1.99, 1 Al 2.03
O: 0.5473 0.3527 0.9443  4 Bi 2.23-2.44
O: 0.6265 0.0870 0.3378  2 Sb 2.04-2.05
O: 0.6310 0.4124 0.3415  2 Sb 2.04-2.05
O: 0.6763 0.0357 0.6757  2 Sb 2.00-2.06
O: 0.6770 0.4646 0.6757  2 Sb 2.00-2.04
O: 0.7059 0.2498 0.2042  2 Sb 2.02-2.03
O: 0.7080 0.2502 0.8460  1 Al 1.97, 1 Sb 2.02
O: 0.7141 0.2490 0.5507  2 Sb 2.02-2.06
O: 0.9758 0.2559 0.1296  2 Al 1.91-1.98
O: 0.9804 0.2493 0.8443  1 Al 1.97, 1 Sb 2.01
O: 0.9836 0.2504 0.4818  2 Sb 2.02-2.03